Entry 1:
{"formula": "CsMgH3", "functional": "PBE-GGA", "state": "relaxed", "lattice": [[-6.939, -4.217, -1.672], [-1.949, -7.965, -1.219], [-4.603, -5.650, 3.953]], "species": ["H", "H", "H", "H", "H", "H", "H", "H", "H", "Mg", "Mg", "Mg", "Cs", "Cs", "Cs"], "fractional_positions": [[0.304, 0.715, 0.304], [0.285, 0.696, 0.696], [0.000, 0.500, 0.500], [0.715, 0.304, 0.304], [0.696, 0.696, 0.285], [0.500, 0.000, 0.500], [0.696, 0.285, 0.696], [0.304, 0.304, 0.715], [0.500, 0.500, 0.000], [0.621, 0.621, 0.621], [0.379, 0.379, 0.379], [0.500, 0.500, 0.500], [0.214, 0.214, 0.214], [0.000, 0.000, 0.000], [0.786, 0.786, 0.786]], "sg": "R-3m (166)", "corrected_energy_ev_per_atom": -2.862}

Entry 2:
{"formula": "HoCuO3", "functional": "PBE-GGA", "state": "relaxed", "lattice": [[3.765, 0.000, 0.000], [0.000, 3.765, 0.000], [0.000, 0.000, 3.765]], "species": ["O", "O", "O", "Ho", "Cu"], "fractional_positions": [[0.000, 0.500, 0.500], [0.500, 0.000, 0.500], [0.500, 0.500, 0.000], [0.000, 0.000, 0.000], [0.500, 0.500, 0.500]], "sg": "Pm-3m (221)", "corrected_energy_ev_per_atom": -6.922, "magnetic_moment_mub_per_cell": 0.0}

Entry 3:
{"formula": "PrAl6Fe6", "functional": "PBE-GGA", "state": "relaxed", "lattice": [[-2.510, 4.320, 4.369], [2.510, -4.320, 4.369], [2.510, 4.320, -4.369]], "species": ["Fe", "Fe", "Fe", "Fe", "Fe", "Fe", "Al", "Al", "Al", "Al", "Al", "Al", "Pr"], "fractional_positions": [[0.500, 0.500, 0.500], [0.759, 0.500, 0.259], [0.500, 0.000, 0.000], [0.000, 0.500, 0.000], [0.241, 0.500, 0.741], [0.000, 0.000, 0.500], [0.339, 0.000, 0.339], [0.201, 0.701, 0.500], [0.348, 0.348, 0.000], [0.652, 0.652, 0.000], [0.799, 0.299, 0.500], [0.661, 0.000, 0.661], [0.000, 0.000, 0.000]], "sg": "Immm (71)"}

| no. | calculated total energy (eV/cell) | formation energy from the elements (kcal/mol of atoms) | V (Å³/f.u.) |
| --- | --- | --- | --- |
| 1 | -41.32 | -7.5 | 84.3 |
| 2 | -32.55 | -51.1 | 53.4 |
| 3 | -82.42 | -7.7 | 189.5 |